(1)
Here is a relaxed structure of LiMnF3 from Materials Project. Energies are from GGA+U.

POSCAR file:
```
LiMnF3
1.0
4.4826 4.9427 0.0000
-4.4826 4.9427 0.0000
0.0000 0.2240 5.9255
F Li Mn
12 4 4
Cartesian
0.0000 6.3413 3.4544
0.0000 8.7363 5.6117
-2.8752 4.0578 1.9383
0.0000 1.3732 0.3139
-2.8752 6.0516 3.9873
1.3183 6.2350 0.7844
-1.3183 6.2350 0.7844
1.3183 3.8744 5.1411
2.8752 4.0578 1.9383
0.0000 3.7682 2.4711
-1.3183 3.8744 5.1411
2.8752 6.0516 3.9873
0.0000 6.8321 5.2578
1.5429 5.0547 2.9628
0.0000 3.2774 0.6677
-1.5429 5.0547 2.9628
2.7859 4.9427 0.0000
-2.7859 4.9427 0.0000
0.0000 7.6575 1.8422
0.0000 2.4520 4.0834
```

Calculated values
As for the offset from the most stable computed form: 37.3 meV per atom. The value obtained for the total energy is -5.74 eV per atom. For the volume, the calculation gives 13.13 Å³ per atom. The formation energy comes out at -2987 meV per atom. The space group is No. 12.



(2)
Here is a relaxed structure of LiMn2F6 from Materials Project. Energies are from GGA+U.

POSCAR file:
```
LiMn2F6
1.0
-4.0739 -1.8974 -1.5575
1.0963 -4.1111 2.1406
-3.4248 -0.8827 10.0332
F Mn Li
12 4 2
Cartesian
-4.5053 -4.4732 7.0228
-1.8970 -2.4179 3.5935
-2.5269 -2.5464 -0.4013
-1.3455 -0.6803 1.4412
-5.0568 -6.2108 9.1750
-4.6772 -3.1917 4.4479
-1.7251 -3.6995 6.1684
-3.1759 -4.2103 1.8598
-3.4642 -1.3109 6.3025
-2.9381 -5.5803 4.3138
-3.2264 -2.6808 8.7565
-3.8754 -4.3448 11.0176
-5.9910 -3.8419 5.8317
-2.2450 -2.4534 1.5926
-4.1574 -4.4377 9.0237
-0.4113 -3.0492 4.7846
-3.7493 -1.3900 4.2378
0.0000 0.0000 0.0000
```

Calculated values
As for the offset from the most stable computed form: 5.4 meV per atom. The value obtained for the total energy is -5.77 eV per atom. For the volume, the calculation gives 12.14 Å³ per atom. The formation energy comes out at -2924 meV per atom. The space group is No. 14.



(3)
Here is a relaxed structure of NaLi2MnF6 from Materials Project. Energies are from GGA+U.

POSCAR file:
```
NaLi2MnF6
1.0
-0.5184 1.4667 5.5708
-5.2370 0.2957 2.4374
-1.6042 -3.9621 3.8964
Li F Mn Na
2 6 1 1
Cartesian
-5.5197 -1.6498 8.9285
-1.8399 -0.5499 2.9762
-2.5841 -2.6108 4.8670
-2.0109 0.2550 5.7509
-2.8578 -1.8366 7.8079
-4.5018 -0.3632 4.0968
-5.3487 -2.4548 6.1537
-4.7755 0.4111 7.0377
0.0000 0.0000 0.0000
-3.6798 -1.0999 5.9523
```

Calculated values
The value obtained for the total energy is -4.82 eV per atom. For the volume, the calculation gives 13.68 Å³ per atom. The formation energy comes out at -2684 meV per atom. The space group is No. 225.



(4)
Here is a relaxed structure of Li3Mn3O3F5 from Materials Project. Energies are from GGA+U.

POSCAR file:
```
Li3Mn3O3F5
1.0
-4.7423 1.3580 3.1262
-0.1966 -10.4614 -1.2083
0.6967 0.8316 6.1503
F Li Mn O
10 6 6 6
Cartesian
-2.7087 -6.3104 1.3280
-2.2901 -0.6559 5.0252
-3.7356 -8.3116 3.3977
-3.8094 -3.2766 3.9127
-3.4847 -8.1125 6.3346
-0.3666 -6.9852 -0.2128
0.1116 -1.3475 3.4462
-1.3649 -3.9817 2.3044
-0.9190 -3.3437 5.5146
-1.1863 -8.7764 4.8226
-2.7343 0.7903 6.4169
-2.1960 -4.3143 3.9973
-3.6785 -4.5121 7.2896
0.6212 0.6534 6.1138
-1.5578 -0.3761 3.2557
-0.8114 -5.5348 1.1756
-4.3118 -6.8058 4.6907
-1.8595 -7.5067 3.0743
-3.7847 -1.1824 8.3171
-1.5765 -7.1113 6.1521
-1.4941 -1.8369 6.8070
-4.1981 -1.6173 5.2447
-0.3529 -2.1000 0.3815
-2.7622 -1.2633 1.8115
-0.1427 -6.7568 2.7206
-2.4700 -6.2370 4.4131
-3.2940 -2.4991 6.9944
-1.3731 -8.8236 1.7545
```

Calculated values
The value obtained for the total energy is -6.09 eV per atom. For the volume, the calculation gives 11.54 Å³ per atom. The formation energy comes out at -2647 meV per atom.



(5)
Here is a relaxed structure of Li2MnO2F from Materials Project. Energies are from GGA+U.

POSCAR file:
```
Li2MnO2F
1.0
-3.8873 3.2665 0.6738
-4.4929 -6.9377 0.0055
-0.0961 1.2429 5.5303
Mn O F Li
4 8 4 8
Cartesian
-4.2569 -0.8997 4.4871
-8.4467 -2.7383 4.8276
-0.0287 0.3086 1.3842
-4.2208 -1.5257 1.7223
-5.1027 -4.5039 5.2619
-3.3726 2.0748 0.9493
-4.8015 0.5986 5.5946
-4.8032 -0.0444 2.8344
-3.6755 -3.0263 0.6144
-3.3703 2.7181 3.7104
-3.6747 -2.3840 3.3748
-5.1041 -5.1467 2.5007
-6.3095 -2.4429 1.8917
-2.1666 0.0143 4.3172
-2.1197 -0.6070 1.5522
-6.3563 -1.8216 4.6572
-2.8712 1.6729 5.3929
-5.3030 1.0012 1.1510
-5.4610 1.5736 3.9238
-2.7134 1.0995 2.6186
-5.7594 -3.5270 3.5911
-3.1740 -3.4294 5.0578
-5.6042 -4.1017 0.8163
-3.0192 -4.0032 2.2846
```

Calculated values
As for the offset from the most stable computed form: 20.6 meV per atom. The value obtained for the total energy is -6.01 eV per atom. For the volume, the calculation gives 9.42 Å³ per atom. The formation energy comes out at -2467 meV per atom.



(6)
Here is a relaxed structure of Li3MnO2F from Materials Project. Energies are from GGA+U.

POSCAR file:
```
Li3MnO2F
1.0
-5.1888 -1.2002 0.0595
-0.3344 -1.2921 -5.3535
0.8942 -5.6532 -1.4429
F Li O Mn
2 6 4 2
Cartesian
-4.1383 -1.2386 -0.8975
-0.4907 -6.9069 -5.8394
-1.4640 -4.4287 -1.1526
-3.1650 -3.7169 -5.5843
-0.1920 -4.1561 -4.8990
-3.7962 -7.6764 -5.7422
-4.4370 -3.9894 -1.8379
-0.8328 -0.4691 -0.9947
-3.6523 -3.4988 -3.5629
-3.5664 -5.7368 -5.6197
-0.9767 -4.6468 -3.1740
-1.0626 -2.4087 -1.1172
-1.8536 -2.7280 -2.9532
-2.7754 -5.4175 -3.7837
```

Calculated values
As for the offset from the most stable computed form: 9.4 meV per atom. The value obtained for the total energy is -5.57 eV per atom. For the volume, the calculation gives 10.99 Å³ per atom. The formation energy comes out at -2252 meV per atom. The space group is No. 2.



(7)
Here is a relaxed structure of Li5MnO3F from Materials Project. Energies are from GGA+U.

POSCAR file:
```
Li5MnO3F
1.0
3.7087 0.0000 -2.9751
-7.3744 0.0000 -5.8950
0.0000 9.5998 0.0000
O Li F Mn
12 20 4 4
Cartesian
0.0186 8.1428 -4.4533
-3.7031 1.3821 -7.4369
-3.7031 8.2177 -7.4370
-1.8139 6.1985 -6.0299
-1.8409 6.2569 -2.9431
-0.0080 8.2012 -1.3663
-5.4929 6.1819 -5.8543
-1.8140 3.4013 -6.0299
-5.4929 3.4178 -5.8543
-1.8409 3.3429 -2.9431
-0.0080 1.3986 -1.3663
0.0186 1.4569 -4.4532
-1.7727 7.4936 -4.4542
-0.0494 6.9062 -2.9421
-5.5309 2.0317 -7.2791
-5.5548 2.0446 -4.4672
0.0468 0.0000 -5.7463
-5.5309 7.5680 -7.2790
-1.8691 4.7999 -1.6499
-1.7727 2.1062 -4.4542
-5.5548 7.5551 -4.4672
-3.6413 2.7553 -8.8240
0.0400 6.8575 -5.8888
-3.7849 0.0000 -6.0562
-0.0495 2.6936 -2.9421
-3.6654 2.7682 -6.0122
0.0400 2.7423 -5.8888
-1.8620 2.0577 -1.5074
-3.6414 6.8445 -8.8240
-5.4114 4.7999 -7.2350
-1.8620 7.5421 -1.5074
-3.6654 6.8316 -6.0123
-3.6495 1.3902 -4.4769
-3.6495 8.2095 -4.4769
1.8269 6.1899 -2.9197
1.8269 3.4099 -2.9197
-2.0530 4.8001 -4.4086
0.2315 9.5997 -2.9879
-3.7222 0.0000 -8.8192
-5.4740 4.7998 -4.4719
```

Calculated values
As for the offset from the most stable computed form: 5.4 meV per atom. The value obtained for the total energy is -5.32 eV per atom. For the volume, the calculation gives 10.51 Å³ per atom. The formation energy comes out at -2190 meV per atom. The space group is No. 11.



(8)
Here is a relaxed structure of LiMn2OF3 from Materials Project. Energies are from GGA+U.

POSCAR file:
```
LiMn2OF3
1.0
-0.7107 -5.4785 2.9589
-1.0289 -5.0536 -9.5968
5.7692 2.8134 -0.0441
Mn F O Li
8 12 4 4
Cartesian
1.5279 -2.9233 -1.7125
1.4519 -2.8138 -4.8626
3.8994 -4.0378 -6.5393
4.0651 -4.2537 -0.2660
1.1806 -5.6687 -0.2448
1.6113 -3.0238 1.4136
1.0204 -5.4569 -6.5225
0.6574 -8.1885 -5.0317
0.3447 -0.9257 -1.6321
-0.5261 -6.1946 -4.9493
3.4919 0.4647 -1.6738
2.5577 -4.7009 -8.0833
2.6205 -4.8035 -4.9828
-0.4471 -6.2988 -1.7789
-0.0680 -3.5269 -3.2763
-0.9365 -8.7813 -6.5912
3.1477 -2.3092 -0.1678
2.9895 -2.0980 -6.4481
-0.6073 -6.0894 -8.0603
2.7173 -4.9143 -1.8048
0.5250 -3.7410 -0.1547
2.5321 -2.1089 -3.2874
1.6625 -7.3748 -6.6062
0.3662 -3.5287 -6.4322
3.4344 -5.8975 -3.4522
3.6592 -7.6670 -6.6709
4.5296 -2.4003 -3.3519
4.3045 -0.6319 -0.1326
```

Calculated values
As for the offset from the most stable computed form: 35.7 meV per atom. The value obtained for the total energy is -6.30 eV per atom. For the volume, the calculation gives 12.93 Å³ per atom. The formation energy comes out at -2653 meV per atom. The space group is No. 5.



(9)
Here is a relaxed structure of Li4MnOF4 from Materials Project. Energies are from GGA+U.

POSCAR file:
```
Li4MnOF4
1.0
0.0000 -7.1041 -4.1131
-7.1041 0.0000 -4.1131
7.1041 0.0000 -4.1131
Li F Mn O
16 16 4 4
Cartesian
2.1100 -6.8900 -6.1696
-2.1100 -0.2141 -2.0565
1.4421 -3.7661 -4.1131
-0.2141 -4.9942 -6.1696
-3.3380 -5.6620 -8.2261
0.2141 -2.1099 -2.0565
-3.7662 -1.4421 -4.1131
-1.4421 -3.3380 -8.2261
-1.4421 -3.3380 -4.1131
2.1100 -6.8900 -10.2826
3.7662 -5.6620 -8.2261
3.3380 -1.4421 -4.1131
0.2141 -2.1099 -6.1696
1.4421 -3.7661 -8.2261
-2.1100 -0.2141 -6.1696
-0.2141 -4.9942 -10.2826
-4.9096 -6.8073 -8.2261
2.1946 -6.8072 -8.2261
-1.3575 -3.2552 -6.1696
-3.2552 -5.7466 -6.1696
-0.2969 -4.9095 -8.2261
-2.1946 -0.2969 -4.1131
-5.7466 -3.8489 -6.1696
0.2969 -2.1946 -8.2261
0.2969 -2.1946 -4.1131
1.3575 -3.8489 -6.1696
4.9096 -0.2969 -4.1131
3.2552 -1.3575 -6.1696
5.7467 -3.2552 -6.1696
-3.8489 -1.3575 -6.1696
-0.2969 -4.9095 -4.1130
3.8489 -5.7466 -6.1696
0.0000 0.0000 -4.1130
-7.1041 -7.1041 -8.2261
-3.5521 -3.5521 -6.1696
3.5520 -3.5520 -6.1696
-3.5521 -3.5521 -8.2261
0.0000 0.0000 -6.1696
-3.5521 -3.5521 -4.1131
0.0000 -7.1041 -6.1696
```

Calculated values
The value obtained for the total energy is -5.35 eV per atom. For the volume, the calculation gives 10.38 Å³ per atom. The formation energy comes out at -2830 meV per atom.



(10)
Here is a relaxed structure of Li6Mn11O2F24 from Materials Project. Energies are from GGA+U.

POSCAR file:
```
Li6Mn11O2F24
1.0
8.3856 0.0000 0.0000
-0.0273 8.5403 0.0000
-2.6529 -2.9784 8.0937
F Mn O Li
24 11 2 6
Cartesian
2.6708 1.2341 3.4588
7.3949 2.0598 0.1904
7.7030 -0.6399 1.9316
4.7174 3.3508 2.3131
4.6774 0.2666 1.6110
2.8677 4.2502 4.4921
6.3782 -2.2063 6.0334
-1.4893 0.6517 7.3453
0.0282 2.2854 3.1708
1.7163 -0.2788 7.4510
0.4361 -0.5824 5.0092
-0.3666 5.1253 3.7572
4.0031 5.7720 0.6975
1.0183 5.1735 6.2652
6.1372 0.4619 4.1836
3.9746 4.6271 7.3967
0.9129 2.1216 5.9455
7.0135 5.3168 0.8757
2.1953 6.8966 2.6102
-1.7392 3.5102 7.9838
3.5321 -1.4257 5.4788
5.3038 6.1656 3.1720
1.6662 4.3363 1.9623
5.7739 3.4929 5.0596
5.3253 -0.3505 5.9925
0.8262 3.6741 4.6407
4.6649 1.9302 3.8384
0.8562 2.5803 1.2451
-2.5624 -2.9509 8.0306
5.6159 7.0682 1.2696
5.0077 2.6968 6.8931
0.1309 -1.5760 6.8924
3.5403 5.1615 2.7001
0.3641 6.0588 2.0500
2.2680 0.4224 5.4462
4.1020 1.3038 5.8340
1.7794 0.9475 0.5258
-0.4849 0.4535 3.6568
2.8802 5.4552 6.0040
6.2807 5.2126 4.4602
5.6684 3.0226 0.6863
2.8206 0.0978 1.9221
-0.0357 2.1083 7.5789
```

Calculated values
The value obtained for the total energy is -6.04 eV per atom. For the volume, the calculation gives 13.48 Å³ per atom. The formation energy comes out at -2851 meV per atom. The space group is No. 1.



(11)
Here is a relaxed structure of Li2MnO2F from Materials Project. Energies are from GGA+U.

POSCAR file:
```
Li2MnO2F
1.0
3.0497 0.0963 0.0850
1.1949 2.3318 -14.4578
0.1619 5.0627 0.0901
Li F Mn O
8 4 4 8
Cartesian
2.9678 1.7004 -4.7329
1.2151 2.3938 -14.3680
1.4145 5.7293 -9.6411
1.3191 4.0625 -12.0028
1.5218 4.1832 -4.7303
2.8273 4.9733 -14.2785
2.8635 3.2461 -9.6421
2.9211 6.6424 -11.9180
1.2787 2.3574 -10.8673
1.3554 5.7665 -13.1409
2.7984 3.2825 -13.1438
2.8840 4.9363 -10.7801
1.4910 0.8854 -2.3227
1.3934 2.4195 -7.2282
2.9991 4.9988 -7.1411
3.0966 3.4651 -2.2347
1.6415 5.8804 -6.0195
2.7492 1.5376 -8.3506
3.1841 1.8634 -1.1159
1.4042 2.4870 -3.4415
1.3056 4.0205 -8.3485
1.7403 4.3470 -1.1127
3.0855 3.3976 -6.0214
3.0099 5.0660 -3.3545
```

Calculated values
As for the offset from the most stable computed form: 0.0 meV per atom. The value obtained for the total energy is -6.04 eV per atom. For the volume, the calculation gives 9.34 Å³ per atom. The formation energy comes out at -2488 meV per atom.



(12)
Here is a relaxed structure of LiMn2OF3 from Materials Project. Energies are from GGA+U.

POSCAR file:
```
LiMn2OF3
1.0
1.3373 2.6681 4.3340
-9.6222 4.7009 0.0750
-2.2755 -4.7152 3.6049
F Mn Li O
12 8 4 4
Cartesian
-9.2862 1.2088 6.7040
-6.1729 3.6207 1.0639
-2.3208 -0.7238 2.9682
-6.1607 1.2587 6.1642
-8.2396 3.3777 5.0458
-1.2742 1.4449 1.3101
-4.3875 -0.9670 6.9501
-9.1077 3.9512 2.2214
-1.4528 -1.2974 5.7926
-7.2195 1.4520 2.7220
-4.3996 1.3950 1.8498
-3.3409 1.2019 5.2920
-1.7432 2.6804 5.2077
-9.4228 5.0108 6.2112
-8.8170 -0.0266 2.8064
-10.5603 2.6533 8.0131
-7.1941 3.7546 3.1723
-3.3662 -1.1009 4.8417
-6.4175 -1.0301 5.8100
-5.2804 1.3268 4.0063
-6.1944 1.6467 1.0461
-9.7836 2.1475 5.0400
-0.7768 0.5063 2.9742
-4.3660 1.0071 6.9680
-0.2672 1.4401 4.5172
-5.2999 3.3485 3.8364
-10.2932 1.2137 3.4969
-5.2604 -0.6946 4.1774
```

Calculated values
As for the offset from the most stable computed form: 0.0 meV per atom. The value obtained for the total energy is -6.33 eV per atom. For the volume, the calculation gives 12.79 Å³ per atom. The formation energy comes out at -2688 meV per atom. The space group is No. 62.



| no. | density (g cm⁻³) |
| --- | --- |
| 1 | 3.0 |
| 2 | 3.5 |
| 3 | 2.5 |
| 4 | 3.4 |
| 5 | 3.5 |
| 6 | 2.7 |
| 7 | 2.5 |
| 8 | 3.5 |
| 9 | 2.8 |
| 10 | 3.2 |
| 11 | 3.6 |
| 12 | 3.5 |